1.
Crystalline Mg6TiCr at its relaxed geometry. Source: the Materials Project, functional PBE.

a = 6.224 Å, b = 6.196 Å, c = 4.983 Å
α = 90.00°, β = 90.00°, γ = 119.85°
Sites, in units of the cell vectors:
Mg 0.666 0.331 0.250
Mg 0.666 0.834 0.250
Mg 0.325 0.162 0.750
Mg 0.325 0.663 0.750
Mg 0.842 0.171 0.750
Mg 0.842 0.671 0.750
Ti 0.167 0.333 0.250
Cr 0.168 0.834 0.250

Values from the calculation:
Calculated total energy in eV per atom: -3.169
Calculated density in g cm⁻³: 2.45
Excess energy over the best structure of this formula in the dataset in meV per atom: 18
Crystal system: orthorhombic
Formation enthalpy at 0 K in eV per atom: 0.23
Symmetry: Amm2

2.
Crystalline YMg6Cr at its relaxed geometry. Source: the Materials Project, functional PBE.

a = 5.139 Å, b = 6.423 Å, c = 11.295 Å
α = 90.00°, β = 90.00°, γ = 90.00°
Sites, in units of the cell vectors:
Y 0.500 0.500 0.667
Y 0.500 0.000 0.167
Mg 0.500 0.745 0.918
Mg 0.500 0.255 0.918
Mg 0.000 0.239 0.584
Mg 0.000 0.761 0.584
Mg 0.000 0.500 0.836
Mg 0.000 0.000 0.828
Mg 0.500 0.245 0.418
Mg 0.500 0.755 0.418
Mg 0.000 0.739 0.084
Mg 0.000 0.261 0.084
Mg 0.000 0.000 0.336
Mg 0.000 0.500 0.328
Cr 0.500 0.000 0.665
Cr 0.500 0.500 0.165

Values from the calculation:
Calculated total energy in eV per atom: -3.067
Calculated density in g cm⁻³: 2.55
Excess energy over the best structure of this formula in the dataset in meV per atom: 8
Formation enthalpy at 0 K in eV per atom: 0.15

3.
Crystalline YMg6Cr at its relaxed geometry. Source: the Materials Project, functional PBE.

a = 5.083 Å, b = 6.504 Å, c = 11.289 Å
α = 90.00°, β = 90.00°, γ = 90.00°
Sites, in units of the cell vectors:
Y 0.000 0.500 0.326
Y 0.000 0.000 0.826
Mg 0.000 0.260 0.081
Mg 0.000 0.740 0.081
Mg 0.000 0.000 0.338
Mg 0.500 0.755 0.422
Mg 0.500 0.245 0.422
Mg 0.500 0.000 0.167
Mg 0.000 0.760 0.581
Mg 0.000 0.240 0.581
Mg 0.000 0.500 0.838
Mg 0.500 0.255 0.922
Mg 0.500 0.745 0.922
Mg 0.500 0.500 0.667
Cr 0.500 0.500 0.165
Cr 0.500 0.000 0.665

Values from the calculation:
Calculated total energy in eV per atom: -3.075
Calculated density in g cm⁻³: 2.55
Excess energy over the best structure of this formula in the dataset in meV per atom: 0
Formation enthalpy at 0 K in eV per atom: 0.14

4.
Crystalline Mg14ZnCr at its relaxed geometry. Source: the Materials Project, functional PBE.

a = 6.266 Å, b = 6.268 Å, c = 10.167 Å
α = 90.00°, β = 90.00°, γ = 120.01°
Sites, in units of the cell vectors:
Mg 0.167 0.334 0.625
Mg 0.168 0.834 0.625
Mg 0.669 0.337 0.125
Mg 0.665 0.333 0.625
Mg 0.669 0.832 0.125
Mg 0.665 0.833 0.625
Mg 0.328 0.164 0.366
Mg 0.328 0.164 0.884
Mg 0.328 0.664 0.366
Mg 0.328 0.664 0.884
Mg 0.836 0.168 0.372
Mg 0.836 0.168 0.878
Mg 0.837 0.669 0.373
Mg 0.837 0.669 0.877
Zn 0.169 0.335 0.125
Cr 0.167 0.833 0.125

Values from the calculation:
Calculated total energy in eV per atom: -2.013
Calculated density in g cm⁻³: 2.20
Excess energy over the best structure of this formula in the dataset in meV per atom: 4
Crystal system: orthorhombic
Formation enthalpy at 0 K in eV per atom: 0.07
Symmetry: Amm2

5.
Crystalline Mg6ZnCr at its relaxed geometry. Source: the Materials Project, functional PBE.

a = 4.966 Å, b = 6.168 Å, c = 10.732 Å
α = 90.00°, β = 90.00°, γ = 90.00°
Sites, in units of the cell vectors:
Mg 0.500 0.252 0.417
Mg 0.500 0.748 0.417
Mg 0.000 0.748 0.087
Mg 0.000 0.252 0.087
Mg 0.000 0.000 0.331
Mg 0.000 0.500 0.329
Mg 0.500 0.752 0.917
Mg 0.500 0.248 0.917
Mg 0.000 0.248 0.587
Mg 0.000 0.752 0.587
Mg 0.000 0.500 0.831
Mg 0.000 0.000 0.829
Zn 0.500 0.000 0.166
Zn 0.500 0.500 0.666
Cr 0.500 0.500 0.167
Cr 0.500 0.000 0.667

Values from the calculation:
Calculated total energy in eV per atom: -2.438
Calculated density in g cm⁻³: 2.66
Excess energy over the best structure of this formula in the dataset in meV per atom: 3
Formation enthalpy at 0 K in eV per atom: 0.13

6.
Crystalline Mg14ZnCr at its relaxed geometry. Source: the Materials Project, functional PBE.

a = 6.283 Å, b = 6.283 Å, c = 10.146 Å
α = 90.00°, β = 90.00°, γ = 120.00°
Sites, in units of the cell vectors:
Mg 0.166 0.833 0.125
Mg 0.168 0.834 0.625
Mg 0.667 0.334 0.125
Mg 0.666 0.332 0.625
Mg 0.667 0.833 0.125
Mg 0.666 0.834 0.625
Mg 0.331 0.169 0.375
Mg 0.331 0.169 0.875
Mg 0.331 0.661 0.375
Mg 0.331 0.661 0.875
Mg 0.839 0.169 0.375
Mg 0.839 0.169 0.875
Mg 0.833 0.667 0.374
Mg 0.833 0.667 0.876
Zn 0.167 0.333 0.125
Cr 0.167 0.333 0.625

Values from the calculation:
Calculated total energy in eV per atom: -2.017
Calculated density in g cm⁻³: 2.19
Excess energy over the best structure of this formula in the dataset in meV per atom: 0
Crystal system: hexagonal
Formation enthalpy at 0 K in eV per atom: 0.07
Symmetry: P-6m2